(1)
The following is a DFT calculation (PBE) of BaGa2Sb2 after structural relaxation.

abc: 4.5178 10.4084 25.8791
angles: 90.00 90.00 90.00
Closest atoms and distances in Å follow each position.
Positions (direct):
Ba1 0.7500 0.7219 0.5381  4 Ga 3.45-3.80, 6 Sb 3.58-3.83
Ba2 0.2500 0.2781 0.4619  4 Ga 3.45-3.80, 6 Sb 3.58-3.83
Ba3 0.2500 0.2219 0.9619  4 Ga 3.45-3.80, 6 Sb 3.58-3.83
Ba4 0.7500 0.7781 0.0381  4 Ga 3.45-3.80, 6 Sb 3.58-3.83
Ba5 0.2500 0.9507 0.7081  5 Ga 3.41-3.74, 6 Sb 3.57-3.69
Ba6 0.7500 0.0493 0.2919  5 Ga 3.41-3.74, 6 Sb 3.57-3.69
Ba7 0.7500 0.4507 0.7919  5 Ga 3.41-3.74, 6 Sb 3.57-3.69
Ba8 0.2500 0.5493 0.2081  5 Ga 3.41-3.74, 6 Sb 3.57-3.69
Ga1 0.2500 0.6030 0.9658  1 Ga 2.56, 3 Sb 2.75-2.85
Ga2 0.7500 0.3970 0.0342  1 Ga 2.56, 3 Sb 2.75-2.85
Ga3 0.7500 0.1030 0.5342  1 Ga 2.56, 3 Sb 2.75-2.85
Ga4 0.2500 0.8970 0.4658  1 Ga 2.56, 3 Sb 2.75-2.85
Ga5 0.7500 0.7972 0.7849  1 Ga 2.60, 3 Sb 2.73-2.82
Ga6 0.2500 0.2028 0.2151  1 Ga 2.60, 3 Sb 2.73-2.82
Ga7 0.2500 0.2972 0.7151  1 Ga 2.60, 3 Sb 2.73-2.82
Ga8 0.7500 0.7028 0.2849  1 Ga 2.60, 3 Sb 2.73-2.82
Ga9 0.7500 0.3230 0.5787  1 Ga 2.56, 3 Sb 2.70-2.75
Ga10 0.2500 0.6770 0.4213  1 Ga 2.56, 3 Sb 2.70-2.75
Ga11 0.7500 0.0327 0.8183  1 Ga 2.60, 3 Sb 2.74-2.77
Ga12 0.2500 0.9673 0.1817  1 Ga 2.60, 3 Sb 2.74-2.77
Ga13 0.2500 0.5327 0.6817  1 Ga 2.60, 3 Sb 2.74-2.77
Ga14 0.7500 0.4673 0.3183  1 Ga 2.60, 3 Sb 2.74-2.77
Ga15 0.2500 0.8230 0.9213  1 Ga 2.56, 3 Sb 2.70-2.75
Ga16 0.7500 0.1770 0.0787  1 Ga 2.56, 3 Sb 2.70-2.75
Sb1 0.2500 0.0257 0.0783  3 Ga 2.74-2.75
Sb2 0.7500 0.9743 0.9217  3 Ga 2.74-2.75
Sb3 0.7500 0.5257 0.4217  3 Ga 2.74-2.75
Sb4 0.2500 0.4743 0.5783  3 Ga 2.74-2.75
Sb5 0.2500 0.5176 0.0706  3 Ga 2.75-2.85
Sb6 0.7500 0.4824 0.9294  3 Ga 2.75-2.85
Sb7 0.7500 0.0176 0.4294  3 Ga 2.75-2.85
Sb8 0.2500 0.9824 0.5706  3 Ga 2.75-2.85
Sb9 0.2500 0.1865 0.8145  3 Ga 2.77-2.82
Sb10 0.7500 0.8135 0.1855  3 Ga 2.77-2.82
Sb11 0.2500 0.6998 0.8293  3 Ga 2.70-2.73
Sb12 0.7500 0.3002 0.1707  3 Ga 2.70-2.73
Sb13 0.7500 0.1998 0.6707  3 Ga 2.70-2.73
Sb14 0.2500 0.8002 0.3293  3 Ga 2.70-2.73
Sb15 0.7500 0.6865 0.6855  3 Ga 2.77-2.82
Sb16 0.2500 0.3135 0.3145  3 Ga 2.77-2.82

Computed properties:
**Space-group type**: Pnma, No. 62
**Calculated volume**: 1216.9 Å³ per cell

(2)
The following is a DFT calculation (PBE) of Ba7Ga4Sb9 after structural relaxation.

abc: 7.2247 10.9876 18.3853
angles: 90.00 90.00 90.00
Closest atoms and distances in Å follow each position.
Positions (direct):
Ba1 0.9236 0.5000 0.0000  4 Ga 3.37-3.64, 5 Sb 3.38-3.47
Ba2 0.0764 0.0000 0.5000  4 Ga 3.37-3.64, 5 Sb 3.38-3.47
Ba3 0.4575 0.2710 0.3755  7 Sb 3.51-3.84, 1 Ga 3.62
Ba4 0.4575 0.7290 0.6245  7 Sb 3.51-3.84, 1 Ga 3.62
Ba5 0.5425 0.7710 0.1245  7 Sb 3.51-3.84, 1 Ga 3.62
Ba6 0.5425 0.2290 0.8755  7 Sb 3.51-3.84, 1 Ga 3.62
Ba7 0.5425 0.2290 0.1245  7 Sb 3.51-3.84, 1 Ga 3.62
Ba8 0.5425 0.7710 0.8755  7 Sb 3.51-3.84, 1 Ga 3.62
Ba9 0.4575 0.7290 0.3755  7 Sb 3.51-3.84, 1 Ga 3.62
Ba10 0.4575 0.2710 0.6245  7 Sb 3.51-3.84, 1 Ga 3.62
Ba11 0.0410 0.0000 0.2140  6 Sb 3.52-3.84, 1 Ga 3.63
Ba12 0.0410 0.0000 0.7860  6 Sb 3.52-3.84, 1 Ga 3.63
Ba13 0.9590 0.5000 0.2860  6 Sb 3.52-3.84, 1 Ga 3.63
Ba14 0.9590 0.5000 0.7140  6 Sb 3.52-3.84, 1 Ga 3.63
Ga1 0.0578 0.1806 0.0000  4 Sb 2.71-2.80
Ga2 0.0578 0.8194 0.0000  4 Sb 2.71-2.80
Ga3 0.9422 0.3194 0.5000  4 Sb 2.71-2.80
Ga4 0.9422 0.6806 0.5000  4 Sb 2.71-2.80
Ga5 0.7412 0.0000 0.3725  4 Sb 2.65-2.78
Ga6 0.7412 0.0000 0.6275  4 Sb 2.65-2.78
Ga7 0.2588 0.5000 0.1275  4 Sb 2.65-2.78
Ga8 0.2588 0.5000 0.8725  4 Sb 2.65-2.78
Sb1 0.4794 0.5000 0.7571  1 Ga 2.65
Sb2 0.4794 0.5000 0.2429  1 Ga 2.65
Sb3 0.9545 0.7898 0.3678  2 Ga 2.71-2.78
Sb4 0.9545 0.2102 0.6322  2 Ga 2.71-2.78
Sb5 0.0455 0.2898 0.1322  2 Ga 2.71-2.78
Sb6 0.0455 0.7102 0.8678  2 Ga 2.71-2.78
Sb7 0.5206 0.0000 0.2571  1 Ga 2.65
Sb8 0.5206 0.0000 0.7429  1 Ga 2.65
Sb9 0.2117 0.5000 0.5000  2 Ga 2.78
Sb10 0.7883 0.0000 0.0000  2 Ga 2.78
Sb11 0.6696 0.5000 0.5000  2 Ga 2.80
Sb12 0.3304 0.0000 0.0000  2 Ga 2.80
Sb13 0.4562 0.5000 0.0000  2 Ga 2.74
Sb14 0.5438 0.0000 0.5000  2 Ga 2.74
Sb15 0.9545 0.7898 0.6322  2 Ga 2.71-2.78
Sb16 0.9545 0.2102 0.3678  2 Ga 2.71-2.78
Sb17 0.0455 0.2898 0.8678  2 Ga 2.71-2.78
Sb18 0.0455 0.7102 0.1322  2 Ga 2.71-2.78

Computed properties:
**Total magnetization**: 0.0 μB/cell
**Space-group type**: Pmmn, No. 59
**Calculated volume**: 1459.5 Å³ per cell

(3)
The following is a DFT calculation (PBE) of Ba3Ga4Sb5 after structural relaxation.

abc: 4.4933 13.5371 25.6860
angles: 90.00 90.00 90.00
Closest atoms and distances in Å follow each position.
Positions (direct):
Ba1 0.5000 0.0709 0.0037  1 Ga 3.44, 7 Sb 3.58-3.75
Ba2 0.5000 0.5788 0.4914  1 Ga 3.33, 5 Sb 3.56-3.71
Ba3 0.0000 0.4212 0.9914  1 Ga 3.33, 5 Sb 3.56-3.71
Ba4 0.0000 0.9291 0.5037  1 Ga 3.44, 7 Sb 3.58-3.75
Ba5 0.0000 0.2727 0.3806  2 Ga 3.35, 4 Sb 3.48-3.68
Ba6 0.0000 0.7625 0.1150  2 Ga 3.23, 5 Sb 3.50-3.59
Ba7 0.5000 0.2375 0.6150  2 Ga 3.23, 5 Sb 3.50-3.59
Ba8 0.5000 0.7273 0.8806  2 Ga 3.35, 4 Sb 3.48-3.68
Ba9 0.5000 0.1111 0.2220  6 Sb 3.51-3.71, 5 Ga 3.62-3.90
Ba10 0.5000 0.6024 0.2820  6 Sb 3.52-3.69, 2 Ga 3.63
Ba11 0.0000 0.3976 0.7820  6 Sb 3.52-3.69, 2 Ga 3.63
Ba12 0.0000 0.8889 0.7220  6 Sb 3.51-3.71, 5 Ga 3.62-3.90
Ga1 0.0000 0.3466 0.2243  1 Ga 2.57, 3 Sb 2.72
Ga2 0.0000 0.8471 0.2787  1 Ga 2.63, 3 Sb 2.72-2.76
Ga3 0.5000 0.1529 0.7787  1 Ga 2.63, 3 Sb 2.72-2.76
Ga4 0.5000 0.6534 0.7243  1 Ga 2.57, 3 Sb 2.72
Ga5 0.5000 0.0097 0.3842  4 Sb 2.74-2.80
Ga6 0.5000 0.4964 0.1151  4 Sb 2.74-2.76
Ga7 0.0000 0.5036 0.6151  4 Sb 2.74-2.76
Ga8 0.0000 0.9903 0.8842  4 Sb 2.74-2.80
Ga9 0.0000 0.2525 0.1373  1 Ga 2.57, 3 Sb 2.74-2.77
Ga10 0.0000 0.7419 0.3650  1 Ga 2.63, 3 Sb 2.72-2.75
Ga11 0.5000 0.2581 0.8650  1 Ga 2.63, 3 Sb 2.72-2.75
Ga12 0.5000 0.7475 0.6373  1 Ga 2.57, 3 Sb 2.74-2.77
Ga13 0.5000 0.9339 0.1164  3 Sb 2.76-2.89
Ga14 0.0000 0.0661 0.6164  3 Sb 2.76-2.89
Ga15 0.0000 0.6640 0.9716  3 Sb 2.82-2.83
Ga16 0.5000 0.3360 0.4716  3 Sb 2.82-2.83
Sb1 0.5000 0.8372 0.2168  3 Ga 2.76-2.89
Sb2 0.5000 0.3421 0.2839  2 Ga 2.72
Sb3 0.0000 0.6579 0.7839  2 Ga 2.72
Sb4 0.0000 0.1628 0.7168  3 Ga 2.76-2.89
Sb5 0.5000 0.3038 0.0824  3 Ga 2.74
Sb6 0.5000 0.8115 0.4149  3 Ga 2.75-2.80
Sb7 0.0000 0.1885 0.9149  3 Ga 2.75-2.80
Sb8 0.0000 0.6962 0.5824  3 Ga 2.74
Sb9 0.0000 0.0521 0.1154  3 Ga 2.76-2.77
Sb10 0.0000 0.5445 0.3855  1 Ga 2.72
Sb11 0.5000 0.4555 0.8855  1 Ga 2.72
Sb12 0.5000 0.9479 0.6154  3 Ga 2.76-2.77
Sb13 0.5000 0.1272 0.4713  2 Ga 2.74-2.83
Sb14 0.5000 0.6336 0.0357  3 Ga 2.76-2.82
Sb15 0.0000 0.3664 0.5357  3 Ga 2.76-2.82
Sb16 0.0000 0.8728 0.9713  2 Ga 2.74-2.83
Sb17 0.0000 0.0295 0.3231  3 Ga 2.72-2.75
Sb18 0.0000 0.5253 0.1755  3 Ga 2.72-2.76
Sb19 0.5000 0.4747 0.6755  3 Ga 2.72-2.76
Sb20 0.5000 0.9705 0.8231  3 Ga 2.72-2.75

Computed properties:
**Total magnetization**: 0.0 μB/cell
**Space-group type**: Pmn2_1, No. 31
**Calculated volume**: 1562.4 Å³ per cell

(4)
The following is a DFT calculation (PBE) of Ba2GaSbSe5 after structural relaxation.

abc: 9.2716 9.4588 12.8089
angles: 90.00 90.00 90.00
Closest atoms and distances in Å follow each position.
Positions (direct):
Ba1 0.0069 0.1233 0.8250  8 Se 3.45-3.56, 1 Ga 3.77
Ba2 0.4931 0.3767 0.3250  8 Se 3.45-3.56, 1 Ga 3.77
Ba3 0.5069 0.8767 0.1750  8 Se 3.45-3.56, 1 Ga 3.77
Ba4 0.9931 0.6233 0.6750  8 Se 3.45-3.56, 1 Ga 3.77
Ba5 0.9931 0.8767 0.1750  8 Se 3.45-3.56, 1 Ga 3.77
Ba6 0.5069 0.6233 0.6750  8 Se 3.45-3.56, 1 Ga 3.77
Ba7 0.4931 0.1233 0.8250  8 Se 3.45-3.56, 1 Ga 3.77
Ba8 0.0069 0.3767 0.3250  8 Se 3.45-3.56, 1 Ga 3.77
Ga1 0.2500 0.3328 0.5971  4 Se 2.38-2.47
Ga2 0.2500 0.1672 0.0971  4 Se 2.38-2.47
Ga3 0.7500 0.6672 0.4029  4 Se 2.38-2.47
Ga4 0.7500 0.8328 0.9029  4 Se 2.38-2.47
Sb1 0.2500 0.9810 0.5267  3 Se 2.62-2.69
Sb2 0.2500 0.5190 0.0267  3 Se 2.62-2.69
Sb3 0.7500 0.0190 0.4733  3 Se 2.62-2.69
Sb4 0.7500 0.4810 0.9733  3 Se 2.62-2.69
Se1 0.0433 0.1757 0.5585  1 Ga 2.47, 1 Sb 2.69
Se2 0.4567 0.3243 0.0585  1 Ga 2.47, 1 Sb 2.69
Se3 0.5433 0.8243 0.4415  1 Ga 2.47, 1 Sb 2.69
Se4 0.9567 0.6757 0.9415  1 Ga 2.47, 1 Sb 2.69
Se5 0.9567 0.8243 0.4415  1 Ga 2.47, 1 Sb 2.69
Se6 0.5433 0.6757 0.9415  1 Ga 2.47, 1 Sb 2.69
Se7 0.4567 0.1757 0.5585  1 Ga 2.47, 1 Sb 2.69
Se8 0.0433 0.3243 0.0585  1 Ga 2.47, 1 Sb 2.69
Se9 0.2500 0.8839 0.7185  1 Sb 2.62
Se10 0.2500 0.6161 0.2185  1 Sb 2.62
Se11 0.7500 0.1161 0.2815  1 Sb 2.62
Se12 0.7500 0.3839 0.7815  1 Sb 2.62
Se13 0.2500 0.3928 0.7802  1 Ga 2.41
Se14 0.2500 0.1072 0.2802  1 Ga 2.41
Se15 0.7500 0.6072 0.2198  1 Ga 2.41
Se16 0.7500 0.8928 0.7198  1 Ga 2.41
Se17 0.2500 0.9616 0.9903  1 Ga 2.38
Se18 0.2500 0.5384 0.4903  1 Ga 2.38
Se19 0.7500 0.0384 0.0097  1 Ga 2.38
Se20 0.7500 0.4616 0.5097  1 Ga 2.38

Computed properties:
**Total magnetization**: 0.0 μB/cell
**Space-group type**: Pnma, No. 62
**Calculated volume**: 1123.3 Å³ per cell

(5)
The following is a DFT calculation (PBE) of Ba2GaSbTe5 after structural relaxation.

abc: 9.7855 9.9941 13.6736
angles: 90.00 90.00 90.00
Closest atoms and distances in Å follow each position.
Positions (direct):
Ba1 0.0072 0.1222 0.8259  8 Te 3.64-3.79, 1 Ga 3.95
Ba2 0.4928 0.3778 0.3259  8 Te 3.64-3.79, 1 Ga 3.95
Ba3 0.5072 0.8778 0.1741  8 Te 3.64-3.79, 1 Ga 3.95
Ba4 0.9928 0.6222 0.6741  8 Te 3.64-3.79, 1 Ga 3.95
Ba5 0.9928 0.8778 0.1741  8 Te 3.64-3.79, 1 Ga 3.95
Ba6 0.5072 0.6222 0.6741  8 Te 3.64-3.79, 1 Ga 3.95
Ba7 0.4928 0.1222 0.8259  8 Te 3.64-3.79, 1 Ga 3.95
Ba8 0.0072 0.3778 0.3259  8 Te 3.64-3.79, 1 Ga 3.95
Ga1 0.2500 0.3352 0.6000  4 Te 2.60-2.69
Ga2 0.2500 0.1648 0.1000  4 Te 2.60-2.69
Ga3 0.7500 0.6648 0.4000  4 Te 2.60-2.69
Ga4 0.7500 0.8352 0.9000  4 Te 2.60-2.69
Sb1 0.2500 0.9829 0.5288  3 Te 2.86-2.90
Sb2 0.2500 0.5171 0.0288  3 Te 2.86-2.90
Sb3 0.7500 0.0171 0.4712  3 Te 2.86-2.90
Sb4 0.7500 0.4829 0.9712  3 Te 2.86-2.90
Te1 0.0346 0.1769 0.5606  1 Ga 2.69, 1 Sb 2.90
Te2 0.4654 0.3231 0.0606  1 Ga 2.69, 1 Sb 2.90
Te3 0.5346 0.8231 0.4394  1 Ga 2.69, 1 Sb 2.90
Te4 0.9654 0.6769 0.9394  1 Ga 2.69, 1 Sb 2.90
Te5 0.9654 0.8231 0.4394  1 Ga 2.69, 1 Sb 2.90
Te6 0.5346 0.6769 0.9394  1 Ga 2.69, 1 Sb 2.90
Te7 0.4654 0.1769 0.5606  1 Ga 2.69, 1 Sb 2.90
Te8 0.0346 0.3231 0.0606  1 Ga 2.69, 1 Sb 2.90
Te9 0.2500 0.8812 0.7245  1 Sb 2.86
Te10 0.2500 0.6188 0.2245  1 Sb 2.86
Te11 0.7500 0.1188 0.2755  1 Sb 2.86
Te12 0.7500 0.3812 0.7755  1 Sb 2.86
Te13 0.2500 0.3973 0.7879  1 Ga 2.64
Te14 0.2500 0.1027 0.2879  1 Ga 2.64
Te15 0.7500 0.6027 0.2121  1 Ga 2.64
Te16 0.7500 0.8973 0.7121  1 Ga 2.64
Te17 0.2500 0.9524 0.9898  1 Ga 2.60
Te18 0.2500 0.5476 0.4898  1 Ga 2.60
Te19 0.7500 0.0476 0.0102  1 Ga 2.60
Te20 0.7500 0.4524 0.5102  1 Ga 2.60

Computed properties:
**Total magnetization**: 0.0 μB/cell
**Space-group type**: Pnma, No. 62
**Calculated volume**: 1337.2 Å³ per cell

(6)
The following is a DFT calculation (PBE) of Ba2GaSe4 after structural relaxation.

abc: 6.5415 13.4355 21.0353
angles: 75.71 90.00 90.00
Closest atoms and distances in Å follow each position.
Positions (direct):
Ba1 0.2350 0.8932 0.2162  7 Se 3.32-3.52
Ba2 0.7350 0.1068 0.2838  7 Se 3.32-3.52
Ba3 0.7650 0.1068 0.7838  7 Se 3.32-3.52
Ba4 0.2650 0.8932 0.7162  7 Se 3.32-3.52
Ba5 0.7432 0.8542 0.0485  8 Se 3.34-3.69
Ba6 0.2432 0.1458 0.4515  8 Se 3.34-3.69
Ba7 0.2568 0.1458 0.9515  8 Se 3.34-3.69
Ba8 0.7568 0.8542 0.5485  8 Se 3.34-3.69
Ba9 0.2372 0.6184 0.0380  8 Se 3.26-3.55
Ba10 0.7372 0.3816 0.4620  8 Se 3.26-3.55
Ba11 0.7628 0.3816 0.9620  8 Se 3.26-3.55
Ba12 0.2628 0.6184 0.5380  8 Se 3.26-3.55
Ba13 0.2315 0.5275 0.3124  8 Se 3.29-3.61
Ba14 0.7315 0.4725 0.1876  8 Se 3.29-3.61
Ba15 0.7685 0.4725 0.6876  8 Se 3.29-3.61
Ba16 0.2685 0.5275 0.8124  8 Se 3.29-3.61
Ga1 0.3231 0.8849 0.4018  4 Se 2.40-2.48
Ga2 0.8231 0.1151 0.0982  4 Se 2.40-2.48
Ga3 0.6769 0.1151 0.5982  4 Se 2.40-2.48
Ga4 0.1769 0.8849 0.9018  4 Se 2.40-2.48
Ga5 0.3169 0.3035 0.0998  4 Se 2.39-2.49
Ga6 0.8169 0.6965 0.4002  4 Se 2.39-2.49
Ga7 0.6831 0.6965 0.9002  4 Se 2.39-2.49
Ga8 0.1831 0.3035 0.5998  4 Se 2.39-2.49
Se1 0.7362 0.9579 0.1782  1 Ga 2.42
Se2 0.2362 0.0421 0.3218  1 Ga 2.42
Se3 0.2638 0.0421 0.8218  1 Ga 2.42
Se4 0.7638 0.9579 0.6782  1 Ga 2.42
Se5 0.2453 0.8837 0.0143  1 Ga 2.40
Se6 0.7453 0.1163 0.4857  1 Ga 2.40
Se7 0.7547 0.1163 0.9857  1 Ga 2.40
Se8 0.2547 0.8837 0.5143  1 Ga 2.40
Se9 0.6930 0.8726 0.3844  2 Ga 2.44-2.46
Se10 0.1930 0.1274 0.1156  2 Ga 2.44-2.46
Se11 0.3070 0.1274 0.6156  2 Ga 2.44-2.46
Se12 0.8070 0.8726 0.8844  2 Ga 2.44-2.46
Se13 0.1868 0.7286 0.3742  2 Ga 2.48-2.49
Se14 0.6868 0.2714 0.1258  2 Ga 2.48-2.49
Se15 0.8132 0.2714 0.6258  2 Ga 2.48-2.49
Se16 0.3132 0.7286 0.8742  2 Ga 2.48-2.49
Se17 0.4198 0.6879 0.1749  1 Se 2.42
Se18 0.9198 0.3121 0.3251  1 Se 2.42
Se19 0.5802 0.3121 0.8251  1 Se 2.42
Se20 0.0802 0.6879 0.6749  1 Se 2.42
Se21 0.0503 0.6867 0.1742  1 Se 2.42
Se22 0.5503 0.3133 0.3258  1 Se 2.42
Se23 0.9497 0.3133 0.8258  1 Se 2.42
Se24 0.4497 0.6867 0.6742  1 Se 2.42
Se25 0.2272 0.4207 0.1644  1 Ga 2.39
Se26 0.7272 0.5793 0.3356  1 Ga 2.39
Se27 0.7728 0.5793 0.8356  1 Ga 2.39
Se28 0.2728 0.4207 0.6644  1 Ga 2.39
Se29 0.2350 0.3892 0.4827  1 Ga 2.47
Se30 0.7350 0.6108 0.0173  1 Ga 2.47
Se31 0.7650 0.6108 0.5173  1 Ga 2.47
Se32 0.2650 0.3892 0.9827  1 Ga 2.47

Computed properties:
**Total magnetization**: 0.0 μB/cell
**Space-group type**: P2_1/c, No. 14
**Calculated volume**: 1791.5 Å³ per cell

| no. | energy of formation (eV/atom) |
| --- | --- |
| 1 | -0.60 |
| 2 | -0.85 |
| 3 | -0.63 |
| 4 | -1.48 |
| 5 | -1.17 |
| 6 | -1.70 |